Entry A
# Li4Fe3NiO8

An optimized crystal structure of Li4Fe3NiO8 (GGA+U, the Materials Project database).

Cell lengths 5.111, 5.545, 6.493 Å; angles 89.92, 89.95, 89.87 degrees
Space group P1 (No. 1)
Symmetry-distinct sites (fractional):
Li1 0.000 0.000 0.000
Li2 0.000 0.497 0.251
Li3 0.495 0.834 0.753
Li4 0.496 0.331 0.500
Fe1 0.496 0.831 0.246
Fe2 0.993 0.498 0.753
Fe3 0.995 0.998 0.502
Ni1 0.494 0.331 0.003
O1 0.102 0.328 0.511
O2 0.102 0.827 0.743
O3 0.120 0.842 0.259
O4 0.130 0.344 0.989
O5 0.601 0.012 0.013
O6 0.601 0.505 0.234
O7 0.620 0.985 0.491
O8 0.623 0.484 0.767

Computed properties:
V   11.5 Å³/atom
Spin magnetization   18.00 μB/cell

---

Entry B
# Li4Fe3NiO8

An optimized crystal structure of Li4Fe3NiO8 (GGA+U, the Materials Project database).

Cell lengths 5.761, 5.818, 5.850 Å; angles 119.13, 90.59, 118.82 degrees
Space group P-1 (No. 2)
Symmetry-distinct sites (fractional):
Li1 0.000 0.000 0.000
Li2 0.000 0.500 0.000
Li3 0.500 0.000 0.000
Li4 0.500 0.500 0.000
Fe1 0.000 0.000 0.500
Fe2 0.000 0.500 0.500
Fe3 0.500 0.000 0.500
Ni1 0.500 0.500 0.500
O1 0.219 0.028 0.718
O2 0.234 0.959 0.273
O3 0.242 0.466 0.271
O4 0.250 0.532 0.742

Computed properties:
V   8.9 Å³/atom
Spin magnetization   16.00 μB/cell

---

Entry C
# Li4Fe3NiO8

An optimized crystal structure of Li4Fe3NiO8 (GGA+U, the Materials Project database).

Cell lengths 5.9144, 5.9144, 14.7010 Å; angles 90.00, 90.00, 120.00 degrees
Space group R-3m (No. 166, hexagonal axes)
Symmetry-distinct sites (fractional):
Li1 0.0000 0.0000 0.0000
Li2 0.0000 0.5000 0.0000
Fe1 0.0000 0.5000 0.5000
Ni1 0.0000 0.0000 0.5000
O1 0.0000 0.0000 0.2441
O2 0.0006 0.5003 0.2419

Computed properties:
V   9.3 Å³/atom
Spin magnetization   48.00 μB/cell

---

The data favor entry C; the next most stable structure lies 70 meV/atom above it.